*i*
The following is a PBE+U calculation of an optimized crystal structure of Ba2V3BiO11, from the Materials Project database.

Cell lengths 5.878, 7.867, 25.134 Å; angles 90.00, 102.59, 90.00 degrees
Atoms (fractional coordinates):
Ba (0.123, 0.248, 0.369)
Ba (0.123, 0.252, 0.869)
Ba (0.224, 0.741, 0.973)
Ba (0.224, 0.759, 0.473)
Ba (0.776, 0.241, 0.527)
Ba (0.776, 0.259, 0.027)
Ba (0.877, 0.748, 0.131)
Ba (0.877, 0.752, 0.631)
V (0.050, 0.745, 0.799)
V (0.050, 0.755, 0.299)
V (0.338, 0.017, 0.592)
V (0.338, 0.483, 0.092)
V (0.343, 0.021, 0.091)
V (0.343, 0.479, 0.591)
V (0.657, 0.521, 0.409)
V (0.657, 0.979, 0.909)
V (0.662, 0.517, 0.908)
V (0.662, 0.983, 0.408)
V (0.950, 0.245, 0.701)
V (0.950, 0.255, 0.201)
Bi (0.493, 0.503, 0.252)
Bi (0.493, 0.997, 0.752)
Bi (0.507, 0.003, 0.248)
Bi (0.507, 0.497, 0.748)
O (0.067, 0.548, 0.315)
O (0.067, 0.952, 0.815)
O (0.073, 0.552, 0.560)
O (0.073, 0.948, 0.060)
O (0.077, 0.560, 0.057)
O (0.077, 0.940, 0.557)
O (0.101, 0.622, 0.856)
O (0.101, 0.878, 0.356)
O (0.239, 0.213, 0.743)
O (0.239, 0.287, 0.243)
O (0.264, 0.708, 0.758)
O (0.264, 0.792, 0.258)
O (0.339, 0.248, 0.584)
O (0.339, 0.252, 0.084)
O (0.390, 0.558, 0.159)
O (0.390, 0.942, 0.659)
O (0.419, 0.558, 0.656)
O (0.419, 0.942, 0.156)
O (0.458, 0.055, 0.943)
O (0.458, 0.445, 0.443)
O (0.459, 0.062, 0.441)
O (0.459, 0.438, 0.941)
O (0.541, 0.562, 0.059)
O (0.541, 0.938, 0.559)
O (0.542, 0.555, 0.557)
O (0.542, 0.945, 0.057)
O (0.581, 0.058, 0.844)
O (0.581, 0.442, 0.344)
O (0.610, 0.058, 0.341)
O (0.610, 0.442, 0.841)
O (0.661, 0.748, 0.916)
O (0.661, 0.752, 0.416)
O (0.736, 0.208, 0.742)
O (0.736, 0.292, 0.242)
O (0.761, 0.713, 0.757)
O (0.761, 0.787, 0.257)
O (0.899, 0.122, 0.644)
O (0.899, 0.378, 0.144)
O (0.923, 0.060, 0.443)
O (0.923, 0.440, 0.943)
O (0.927, 0.052, 0.940)
O (0.927, 0.448, 0.440)
O (0.933, 0.048, 0.185)
O (0.933, 0.452, 0.685)

Values from the calculation:
Theoretical density, g/cm³: 4.8
Volume, Å³/atom: 16.68



*ii*
The following is a PBE+U calculation of an optimized crystal structure of Ba2V3BiO11, from the Materials Project database.

Cell lengths 12.563, 7.845, 11.550 Å; angles 90.00, 103.26, 90.00 degrees
Atoms (fractional coordinates):
Ba (0.054, 0.249, 0.389)
Ba (0.054, 0.251, 0.889)
Ba (0.267, 0.729, 0.942)
Ba (0.267, 0.771, 0.442)
Ba (0.733, 0.229, 0.558)
Ba (0.733, 0.271, 0.058)
Ba (0.946, 0.749, 0.111)
Ba (0.946, 0.751, 0.611)
V (0.183, 0.020, 0.174)
V (0.183, 0.480, 0.674)
V (0.186, 0.019, 0.670)
V (0.186, 0.481, 0.170)
V (0.403, 0.248, 0.476)
V (0.403, 0.252, 0.976)
V (0.597, 0.748, 0.024)
V (0.597, 0.752, 0.524)
V (0.814, 0.519, 0.830)
V (0.814, 0.981, 0.330)
V (0.817, 0.520, 0.326)
V (0.817, 0.980, 0.826)
Bi (0.498, 0.503, 0.732)
Bi (0.498, 0.997, 0.232)
Bi (0.502, 0.003, 0.768)
Bi (0.502, 0.497, 0.268)
O (0.106, 0.556, 0.767)
O (0.106, 0.944, 0.267)
O (0.111, 0.562, 0.039)
O (0.111, 0.938, 0.539)
O (0.125, 0.554, 0.535)
O (0.125, 0.946, 0.035)
O (0.130, 0.559, 0.280)
O (0.130, 0.941, 0.780)
O (0.167, 0.249, 0.668)
O (0.167, 0.251, 0.168)
O (0.284, 0.137, 0.446)
O (0.284, 0.363, 0.946)
O (0.315, 0.558, 0.722)
O (0.315, 0.942, 0.222)
O (0.320, 0.553, 0.187)
O (0.320, 0.947, 0.687)
O (0.378, 0.039, 0.972)
O (0.378, 0.461, 0.472)
O (0.483, 0.206, 0.367)
O (0.483, 0.294, 0.867)
O (0.487, 0.200, 0.621)
O (0.487, 0.300, 0.121)
O (0.513, 0.700, 0.879)
O (0.513, 0.800, 0.379)
O (0.517, 0.706, 0.133)
O (0.517, 0.794, 0.633)
O (0.622, 0.539, 0.528)
O (0.622, 0.961, 0.028)
O (0.680, 0.053, 0.313)
O (0.680, 0.447, 0.813)
O (0.685, 0.058, 0.778)
O (0.685, 0.442, 0.278)
O (0.716, 0.637, 0.054)
O (0.716, 0.863, 0.554)
O (0.833, 0.749, 0.832)
O (0.833, 0.751, 0.332)
O (0.870, 0.059, 0.220)
O (0.870, 0.441, 0.720)
O (0.875, 0.054, 0.965)
O (0.875, 0.446, 0.465)
O (0.889, 0.062, 0.461)
O (0.889, 0.438, 0.961)
O (0.894, 0.056, 0.733)
O (0.894, 0.444, 0.233)

Values from the calculation:
Theoretical density, g/cm³: 4.9
Volume, Å³/atom: 16.29



Referenced to the most stable arrangement, the calculated values in meV/atom are *i* 21; *ii* 0.



*i*
The following is a PBE+U calculation of an optimized crystal structure of Na3Mn2P2C2O14, from the Materials Project database.

Cell lengths 10.256, 6.580, 10.398 Å; angles 90.00, 118.85, 90.00 degrees
Atoms (fractional coordinates):
Na (0.000, 0.222, 0.000)
Na (0.000, 0.778, 0.500)
Na (0.482, 0.259, 0.985)
Na (0.482, 0.741, 0.485)
Na (0.483, 0.260, 0.488)
Na (0.483, 0.740, 0.988)
Mn (0.595, 0.002, 0.312)
Mn (0.595, 0.998, 0.812)
Mn (0.899, 0.498, 0.678)
Mn (0.899, 0.502, 0.178)
P (0.671, 0.498, 0.816)
P (0.671, 0.502, 0.316)
P (0.819, 0.000, 0.177)
P (0.819, 0.000, 0.677)
C (0.167, 0.498, 0.342)
C (0.167, 0.502, 0.842)
C (0.322, 0.000, 0.150)
C (0.322, 0.000, 0.650)
O (0.069, 0.491, 0.888)
O (0.069, 0.509, 0.388)
O (0.103, 0.488, 0.198)
O (0.103, 0.512, 0.698)
O (0.186, 0.000, 0.072)
O (0.186, 0.000, 0.572)
O (0.305, 0.500, 0.424)
O (0.305, 0.500, 0.924)
O (0.392, 0.000, 0.296)
O (0.392, 0.000, 0.796)
O (0.420, 0.000, 0.100)
O (0.420, 0.000, 0.600)
O (0.572, 0.312, 0.801)
O (0.572, 0.688, 0.301)
O (0.575, 0.314, 0.305)
O (0.575, 0.686, 0.805)
O (0.668, 0.003, 0.531)
O (0.668, 0.997, 0.031)
O (0.704, 0.499, 0.683)
O (0.704, 0.501, 0.183)
O (0.780, 0.000, 0.305)
O (0.780, 0.000, 0.805)
O (0.819, 0.491, 0.961)
O (0.819, 0.509, 0.461)
O (0.912, 0.188, 0.183)
O (0.912, 0.812, 0.683)
O (0.916, 0.188, 0.694)
O (0.916, 0.812, 0.194)

Values from the calculation:
Theoretical density, g/cm³: 2.6
Volume, Å³/atom: 13.36



*ii*
The following is a PBE+U calculation of an optimized crystal structure of Na3Mn2P2C2O14, from the Materials Project database.

Cell lengths 8.421, 8.425, 9.017 Å; angles 90.13, 92.15, 103.45 degrees
Atoms (fractional coordinates):
Na (0.125, 0.128, 0.236)
Na (0.348, 0.385, 0.755)
Na (0.371, 0.884, 0.241)
Na (0.629, 0.116, 0.759)
Na (0.652, 0.615, 0.245)
Na (0.875, 0.872, 0.764)
Mn (0.229, 0.484, 0.351)
Mn (0.269, 0.011, 0.656)
Mn (0.731, 0.989, 0.344)
Mn (0.771, 0.516, 0.649)
P (0.021, 0.762, 0.426)
P (0.494, 0.729, 0.570)
P (0.506, 0.271, 0.430)
P (0.979, 0.238, 0.574)
C (0.242, 0.991, 0.924)
C (0.262, 0.511, 0.082)
C (0.738, 0.489, 0.918)
C (0.758, 0.009, 0.076)
O (0.055, 0.311, 0.429)
O (0.095, 0.640, 0.337)
O (0.103, 0.183, 0.678)
O (0.145, 0.893, 0.828)
O (0.147, 0.402, 0.147)
O (0.164, 0.914, 0.468)
O (0.229, 0.986, 0.061)
O (0.282, 0.524, 0.948)
O (0.347, 0.580, 0.534)
O (0.357, 0.098, 0.857)
O (0.357, 0.606, 0.186)
O (0.373, 0.332, 0.335)
O (0.438, 0.201, 0.580)
O (0.444, 0.859, 0.665)
O (0.556, 0.141, 0.335)
O (0.562, 0.799, 0.420)
O (0.627, 0.668, 0.665)
O (0.643, 0.394, 0.814)
O (0.643, 0.902, 0.143)
O (0.653, 0.420, 0.466)
O (0.718, 0.476, 0.052)
O (0.771, 0.014, 0.939)
O (0.836, 0.086, 0.532)
O (0.853, 0.598, 0.853)
O (0.855, 0.107, 0.172)
O (0.897, 0.817, 0.322)
O (0.905, 0.360, 0.663)
O (0.945, 0.689, 0.571)

Values from the calculation:
Theoretical density, g/cm³: 2.6
Volume, Å³/atom: 13.52



Referenced to the most stable arrangement, the calculated values in meV/atom are *i* 7; *ii* 0.



*i*
The following is a PBE+U calculation of an optimized crystal structure of Sr2LiFeO3F, from the Materials Project database.

Cell lengths 4.011, 4.094, 6.929 Å; angles 90.21, 90.51, 90.19 degrees
Atoms (fractional coordinates):
Sr (0.000, 0.000, 0.000)
Sr (0.012, 0.004, 0.513)
Li (0.501, 0.502, 0.760)
Fe (0.508, 0.501, 0.254)
O (0.008, 0.501, 0.227)
O (0.497, 0.005, 0.781)
O (0.509, 0.001, 0.284)
F (0.997, 0.505, 0.720)

Values from the calculation:
Theoretical density, g/cm³: 4.5
Volume, Å³/atom: 14.22



*ii*
The following is a PBE+U calculation of an optimized crystal structure of Sr2LiFeO3F, from the Materials Project database.

Cell lengths 8.487, 8.487, 8.487 Å; angles 154.35, 154.35, 36.59 degrees
Atoms (fractional coordinates):
Sr (0.000, 0.000, 0.000)
Sr (0.318, 0.318, 0.000)
Li (0.148, 0.148, 0.000)
Fe (0.668, 0.668, 0.000)
O (0.121, 0.621, 0.500)
O (0.621, 0.121, 0.500)
O (0.829, 0.829, 0.000)
F (0.464, 0.464, 0.000)

Values from the calculation:
Theoretical density, g/cm³: 4.4
Volume, Å³/atom: 14.30



Referenced to the most stable arrangement, the calculated values in meV/atom are *i* 0; *ii* 317.



*i*
The following is a PBE+U calculation of an optimized crystal structure of LiVF4, from the Materials Project database.

Cell lengths 5.154, 5.154, 6.211 Å; angles 90.00, 90.00, 93.64 degrees
Atoms (fractional coordinates):
Li (0.125, 0.875, 0.750)
Li (0.875, 0.125, 0.250)
V (0.481, 0.519, 0.250)
V (0.519, 0.481, 0.750)
F (0.216, 0.247, 0.250)
F (0.247, 0.216, 0.750)
F (0.325, 0.675, 0.520)
F (0.325, 0.675, 0.980)
F (0.675, 0.325, 0.020)
F (0.675, 0.325, 0.480)
F (0.753, 0.784, 0.250)
F (0.784, 0.753, 0.750)

Values from the calculation:
Theoretical density, g/cm³: 2.7
Volume, Å³/atom: 13.72



*ii*
The following is a PBE+U calculation of an optimized crystal structure of LiVF4, from the Materials Project database.

Cell lengths 6.138, 6.138, 6.138 Å; angles 119.50, 86.04, 125.22 degrees
Atoms (fractional coordinates):
Li (0.000, 0.000, 0.000)
Li (0.500, 0.000, 0.500)
V (0.500, 0.000, 0.000)
V (0.500, 0.500, 0.500)
F (0.262, 0.012, 0.250)
F (0.283, 0.533, 0.750)
F (0.287, 0.000, 0.787)
F (0.287, 0.500, 0.287)
F (0.713, 0.000, 0.213)
F (0.713, 0.500, 0.713)
F (0.717, 0.467, 0.250)
F (0.738, 0.988, 0.750)

Values from the calculation:
Theoretical density, g/cm³: 2.8
Volume, Å³/atom: 13.06



Referenced to the most stable arrangement, the calculated values in meV/atom are *i* 0; *ii* 11.